Record 1
Hf6Ga16Pd7 after structural relaxation, computed with GGA-PBE.

Results
- crystal system = cubic

Lattice parameters (Å, degrees): 12.462 12.462 12.462 90.00 90.00 90.00
Space group Fm-3m (No. 225)
Inequivalent atoms, fractional coordinates:
Hf 0.000 0.000 0.185
Ga 0.122 0.122 0.378
Ga 0.159 0.159 0.159
Pd 0.000 0.000 0.500
Pd 0.000 0.250 0.250

Record 2
HfGaPd after structural relaxation, computed with GGA-PBE.

Results
- crystal system = hexagonal

Lattice parameters (Å, degrees): 7.2042 7.2042 6.9463 90.00 90.00 120.00
Space group P-62c (No. 190)
Inequivalent atoms, fractional coordinates:
Hf 0.0206 0.4086 0.2500
Ga 0.0000 0.7316 0.0000
Pd 0.0000 0.0000 0.2500
Pd 0.3333 0.6667 0.5306

Record 3
Hf6Ga16Rh7 after structural relaxation, computed with GGA-PBE.

Results
- crystal system = cubic

Lattice parameters (Å, degrees): 12.365 12.365 12.365 90.00 90.00 90.00
Space group Fm-3m (No. 225)
Inequivalent atoms, fractional coordinates:
Hf 0.000 0.000 0.191
Ga 0.122 0.122 0.378
Ga 0.156 0.156 0.156
Rh 0.000 0.000 0.500
Rh 0.000 0.250 0.250

Record 4
Hf2GaSb3 after structural relaxation, computed with GGA-PBE.

Results
- crystal system = tetragonal

Lattice parameters (Å, degrees): 3.933 3.933 8.704 90.00 90.00 90.00
Space group P-4m2 (No. 115)
Inequivalent atoms, fractional coordinates:
Hf 0.000 0.500 0.239
Ga 0.000 0.000 0.500
Sb 0.000 0.500 0.884
Sb 0.500 0.500 0.500

Record 5
Hf2ScGa3 after structural relaxation, computed with GGA-PBE.

Results
- crystal system = orthorhombic

Lattice parameters (Å, degrees): 3.870 3.920 60.872 90.00 90.00 90.00
Space group Imm2 (No. 44)
Inequivalent atoms, fractional coordinates:
Hf 0.000 0.000 0.000
Hf 0.000 0.000 0.131
Hf 0.000 0.000 0.333
Hf 0.000 0.000 0.666
Hf 0.000 0.000 0.797
Hf 0.000 0.500 0.213
Hf 0.000 0.500 0.546
Hf 0.000 0.500 0.879
Sc 0.000 0.000 0.464
Sc 0.000 0.500 0.083
Sc 0.000 0.500 0.416
Sc 0.000 0.500 0.749
Ga 0.000 0.000 0.176
Ga 0.000 0.000 0.287
Ga 0.000 0.000 0.509
Ga 0.000 0.000 0.620
Ga 0.000 0.000 0.842
Ga 0.000 0.000 0.953
Ga 0.000 0.500 0.037
Ga 0.000 0.500 0.260
Ga 0.000 0.500 0.370
Ga 0.000 0.500 0.593
Ga 0.000 0.500 0.704
Ga 0.000 0.500 0.926

Record 6
Hf2Ti3Ga3 after structural relaxation, computed with GGA-PBE.

Results
- crystal system = hexagonal

Lattice parameters (Å, degrees): 7.7678 7.7678 5.6228 90.00 90.00 120.00
Space group P6_3/mcm (No. 193)
Inequivalent atoms, fractional coordinates:
Hf 0.3333 0.6667 0.0000
Ti 0.0000 0.2372 0.2500
Ga 0.0000 0.3863 0.7500

Record 7
Hf3V2Ga6 after structural relaxation, computed with GGA-PBE.

Results
- crystal system = orthorhombic

Lattice parameters (Å, degrees): 5.380 8.834 7.796 90.00 90.00 90.00
Space group Pmmn (No. 59, origin choice 2)
Inequivalent atoms, fractional coordinates:
Hf 0.250 0.030 0.155
Hf 0.250 0.750 0.718
V 0.000 0.000 0.500
Ga 0.010 0.750 0.040
Ga 0.250 0.062 0.770
Ga 0.250 0.250 0.435
Ga 0.250 0.750 0.366

Record 8
Hf3V2Ga4 after structural relaxation, computed with GGA-PBE.

Results
- crystal system = orthorhombic

Lattice parameters (Å, degrees): 16.770 5.380 13.644 90.00 90.00 90.00
Space group Pnma (No. 62)
Inequivalent atoms, fractional coordinates:
Hf 0.036 0.250 0.146
Hf 0.057 0.250 0.770
Hf 0.066 0.250 0.531
Hf 0.152 0.750 0.179
Hf 0.173 0.750 0.474
Hf 0.213 0.250 0.313
V 0.131 0.009 0.960
V 0.186 0.015 0.662
Ga 0.016 0.750 0.050
Ga 0.058 0.750 0.623
Ga 0.069 0.507 0.340
Ga 0.121 0.750 0.801
Ga 0.194 0.250 0.109
Ga 0.219 0.250 0.824
Ga 0.239 0.250 0.512

Record 9
HfV2Ga4 after structural relaxation, computed with GGA-PBE.

Results
- crystal system = tetragonal

Lattice parameters (Å, degrees): 6.464 6.464 5.188 90.00 90.00 90.00
Space group I4/mmm (No. 139)
Inequivalent atoms, fractional coordinates:
Hf 0.000 0.000 0.000
V 0.000 0.500 0.250
Ga 0.198 0.198 0.500

Record 10
HfZn2Ga after structural relaxation, computed with GGA-PBE.

Results
- crystal system = tetragonal

Lattice parameters (Å, degrees): 4.000 4.000 4.128 90.00 90.00 90.00
Space group P4/mmm (No. 123)
Inequivalent atoms, fractional coordinates:
Hf 0.000 0.000 0.000
Zn 0.000 0.500 0.500
Ga 0.500 0.500 0.000

Record 11
Hf4ZnGa11 after structural relaxation, computed with GGA-PBE.

Results
- crystal system = tetragonal

Lattice parameters (Å, degrees): 3.965 3.965 17.430 90.00 90.00 90.00
Space group P4mm (No. 99)
Inequivalent atoms, fractional coordinates:
Hf 0.000 0.000 0.000
Hf 0.000 0.000 0.236
Hf 0.500 0.500 0.499
Hf 0.500 0.500 0.737
Zn 0.500 0.500 0.245
Ga 0.000 0.000 0.489
Ga 0.000 0.000 0.743
Ga 0.000 0.500 0.120
Ga 0.000 0.500 0.364
Ga 0.000 0.500 0.618
Ga 0.000 0.500 0.868
Ga 0.500 0.500 0.994

Record 12
HfZn2Ga after structural relaxation, computed with GGA-PBE.

Results
- crystal system = trigonal

Lattice parameters (Å, degrees): 2.9897 2.9897 27.5942 90.00 90.00 120.00
Space group R3m (No. 160, hexagonal axes)
Inequivalent atoms, fractional coordinates:
Hf 0.0000 0.0000 0.0000
Zn 0.0000 0.0000 0.4979
Zn 0.0000 0.0000 0.7540
Ga 0.0000 0.0000 0.2461

Energy of formation (computed, meV/atom): -532 -722 -596 -544 -519 -323 -416 -414 -349 -345 -368 -18
Calculated density (computed, g cm⁻³): 10.06 11.32 10.21 9.77 8.79 8.02 9.46 9.89 8.57 9.53 9.37 8.84